Below is an optimized crystal structure of PmRh3, with properties calculated at the meta-GGA r2SCAN level.

- total magnetization (μB per cell) = 0.00
- ΔH_f (0 K) (meV/atom) = -410
- calculated total energy (eV per atom) = -25.90

a = 4.072 Å, b = 4.072 Å, c = 4.072 Å
α = 90.00°, β = 90.00°, γ = 90.00°
Element x y z (fractional)
Pm  0.000  0.000  0.000
Rh  0.000  0.500  0.500
Rh  0.500  0.000  0.500
Rh  0.500  0.500  0.000